The following is a DFT calculation (PBE-GGA) of a relaxed structure of CuH6Pb4S2O14. Values from VASP.

```
&SYSTEM
  ibrav = 0, nat = 27, ntyp = 5
/
ATOMIC_SPECIES
Cu 63.55 Cu.upf
H 1.01 H.upf
Pb 207.20 Pb.upf
S 32.06 S.upf
O 16.00 O.upf
ATOMIC_POSITIONS angstrom
Cu 0.000 0.000 0.000
H -5.464 -2.813 -3.617
H -0.900 -0.317 -2.337
H -4.598 -0.074 0.471
H -1.766 -3.056 -6.425
H -4.869 -0.668 -1.968
H -1.495 -2.462 -3.986
Pb -3.683 -0.735 -4.672
Pb -2.680 -2.395 -1.282
Pb -3.525 -4.665 -4.634
Pb -2.839 1.536 -1.320
S -6.192 -2.982 -0.526
S -0.172 -0.148 -5.428
O -5.090 -2.717 -4.528
O -1.274 -0.413 -1.426
O -4.081 0.745 0.641
O -2.283 -3.875 -6.595
O -3.964 -0.522 -2.307
O -2.400 -2.608 -3.646
O -2.315 -5.113 -1.863
O -4.048 1.984 -4.091
O -5.611 -3.255 -1.870
O -0.753 0.125 -4.084
O -5.733 -1.623 -0.057
O -0.630 -1.507 -5.897
O -5.704 -4.036 0.423
O -0.660 0.906 -6.377
CELL_PARAMETERS angstrom
-5.372 2.136 1.294
0.947 2.610 -7.635
-1.939 -7.876 0.387
```

Output
formation energy from the elements	-1.57	eV per atom
total energy	-5.54	eV/atom